# 1
# AsCl2F3

AsCl2F3 after structural relaxation (r²SCAN, the Materials Project database).

Mass density   2.9 g/cm³
M_tot   0.00 μB per formula unit
Energy relative to the elements   -1580 meV per atom

a = 8.6519 Å, b = 8.6519 Å, c = 6.2106 Å
α = 90.00°, β = 90.00°, γ = 90.00°
Last column: nearest neighbours and their distance in Å.
Space group P4/n (No. 85, origin choice 2)
Unique sites:
1 As 0.2500 0.2500 0.1761  6 F 1.73-1.75
2 As 0.2500 0.7500 0.5000  4 Cl 2.07
3 Cl 0.0599 0.7131 0.3044  1 As 2.07
4 F 0.0595 0.3177 0.1737  1 As 1.75
5 F 0.2500 0.2500 0.4549  1 As 1.73
6 F 0.2500 0.2500 0.8936  1 As 1.75


# 2
# Cd4P2Br3

Cd4P2Br3 after structural relaxation (r²SCAN, the Materials Project database).

Mass density   5.1 g/cm³
M_tot   0.00 μB per formula unit
Energy relative to the elements   -626 meV per atom

a = 12.4962 Å, b = 12.4962 Å, c = 12.4962 Å
α = 90.00°, β = 90.00°, γ = 90.00°
Last column: nearest neighbours and their distance in Å.
Space group Pa-3 (No. 205)
Unique sites:
1 Cd 0.0041 0.2454 0.0345  2 P 2.48-2.51
2 Cd 0.2224 0.7224 0.7776  1 P 2.49, 3 Br 2.76
3 P 0.0504 0.0504 0.0504  1 P 2.18
4 P 0.1075 0.6075 0.8925  4 Cd 2.48-2.49
5 Br 0.0643 0.2339 0.3142  3 Cd 2.76-3.02


# 3
# ZrGa5Co

ZrGa5Co after structural relaxation (r²SCAN, the Materials Project database).

Mass density   7.5 g/cm³
M_tot   0.00 μB per formula unit
Energy relative to the elements   -420 meV per atom

a = 4.1060 Å, b = 4.1060 Å, c = 6.5723 Å
α = 90.00°, β = 90.00°, γ = 90.00°
Last column: nearest neighbours and their distance in Å.
Space group P4/mmm (No. 123)
Unique sites:
1 Zr 0.0000 0.0000 0.0000  12 Ga 2.87-2.90
2 Ga 0.0000 0.5000 0.3054  2 Co 2.42, 1 Ga 2.56
3 Ga 0.5000 0.5000 0.0000  8 Ga 2.87, 4 Zr 2.90
4 Co 0.0000 0.0000 0.5000  8 Ga 2.42


# 4
# GePbS3

GePbS3 after structural relaxation (r²SCAN, the Materials Project database).

Mass density   4.8 g/cm³
M_tot   0.00 μB per formula unit
Energy relative to the elements   -530 meV per atom

a = 7.3986 Å, b = 10.5169 Å, c = 6.8993 Å
α = 90.00°, β = 105.39°, γ = 90.00°
Last column: nearest neighbours and their distance in Å.
Space group P2_1/c (No. 14)
Unique sites:
1 Ge 0.1845 0.2084 0.0084  4 S 2.19-2.27
2 Pb 0.3683 0.5808 0.2212  5 S 2.75-3.05
3 S 0.0072 0.7223 0.8071  2 Ge 2.26-2.27
4 S 0.2710 0.0107 0.0817  1 Ge 2.20
5 S 0.4400 0.1760 0.5870  1 Ge 2.19